(1)
# TmCoSi (r2SCAN, relaxed)
data_TmCoSi
_cell_length_a 6.747
_cell_length_b 4.111
_cell_length_c 6.851
_cell_angle_alpha 90.00
_cell_angle_beta 90.00
_cell_angle_gamma 90.00
_symmetry_space_group_name_H-M 'P 1'
_symmetry_Int_Tables_number 1
loop_
_symmetry_equiv_pos_as_xyz
'x,y,z'
loop_
_atom_site_label
_atom_site_type_symbol
_atom_site_fract_x
_atom_site_fract_y
_atom_site_fract_z
Tm1 Tm 0.016 0.250 0.191
Tm2 Tm 0.484 0.750 0.691
Tm3 Tm 0.516 0.250 0.309
Tm4 Tm 0.984 0.750 0.809
Co1 Co 0.147 0.750 0.437
Co2 Co 0.353 0.250 0.937
Co3 Co 0.647 0.750 0.063
Co4 Co 0.853 0.250 0.563
Si1 Si 0.197 0.250 0.606
Si2 Si 0.303 0.750 0.106
Si3 Si 0.697 0.250 0.894
Si4 Si 0.803 0.750 0.394
# DFT formation energy: -722 meV/atom

(2)
# UCo2Si2 (r2SCAN, relaxed)
data_UCo2Si2
_cell_length_a 3.999
_cell_length_b 3.999
_cell_length_c 9.226
_cell_angle_alpha 90.00
_cell_angle_beta 90.00
_cell_angle_gamma 90.00
_symmetry_space_group_name_H-M 'P 1'
_symmetry_Int_Tables_number 1
loop_
_symmetry_equiv_pos_as_xyz
'x,y,z'
loop_
_atom_site_label
_atom_site_type_symbol
_atom_site_fract_x
_atom_site_fract_y
_atom_site_fract_z
U1 U 0.000 0.000 0.000
U2 U 0.500 0.500 0.500
Co1 Co 0.000 0.500 0.250
Co2 Co 0.000 0.500 0.750
Co3 Co 0.500 0.000 0.250
Co4 Co 0.500 0.000 0.750
Si1 Si 0.000 0.000 0.370
Si2 Si 0.000 0.000 0.630
Si3 Si 0.500 0.500 0.130
Si4 Si 0.500 0.500 0.870
# DFT formation energy: -641 meV/atom